First-principles (GGA+U) data for Na4Mn2AsC4O16 after structural relaxation, as listed in the Materials Project.

Values from the calculation:
VASP energy   -6.663 eV per atom

Cell lengths 13.780, 14.299, 14.437 Å; angles 90.00, 90.00, 90.00 degrees
Space group Fddd (No. 70, origin choice 2)
Asymmetric unit:
Na1 0.089 0.375 0.375 [16 per cell]
Na2 0.125 0.125 0.335 [16 per cell]
Mn1 0.000 0.000 0.500 [16 per cell]
As1 0.125 0.125 0.125 [8 per cell]
C1 0.036 0.042 0.717 [32 per cell]
O1 0.024 0.275 0.902 [32 per cell]
O2 0.026 0.114 0.771 [32 per cell]
O3 0.051 0.060 0.054 [32 per cell]
O4 0.106 0.267 0.515 [32 per cell]



First-principles (GGA+U) data for Mn26As18CO57 after structural relaxation, as listed in the Materials Project.

Values from the calculation:
VASP energy   -7.086 eV per atom

Cell lengths 13.6799, 13.6799, 9.0014 Å; angles 90.00, 90.00, 120.00 degrees
Space group P3 (No. 143)
Asymmetric unit:
Mn1 0.0000 0.0000 0.0046 [1 per cell]
Mn2 0.0038 0.7470 0.9937 [3 per cell]
Mn3 0.0117 0.2519 0.9536 [3 per cell]
Mn4 0.0865 0.6656 0.3000 [3 per cell]
Mn5 0.0891 0.4160 0.3066 [3 per cell]
Mn6 0.1588 0.8278 0.6076 [3 per cell]
Mn7 0.4137 0.0764 0.6127 [3 per cell]
Mn8 0.4268 0.3451 0.6524 [3 per cell]
Mn9 0.4941 0.0019 0.0000 [3 per cell]
Mn10 0.6667 0.3333 0.6010 [1 per cell]
As1 0.0405 0.8625 0.2902 [3 per cell]
As2 0.1429 0.5711 0.6510 [3 per cell]
As3 0.1641 0.0822 0.6808 [3 per cell]
As4 0.2376 0.7611 0.9561 [3 per cell]
As5 0.5028 0.2508 0.9259 [3 per cell]
As6 0.5285 0.1510 0.3157 [3 per cell]
C1 0.3333 0.6667 0.3033 [1 per cell]
O1 0.0128 0.4948 0.7584 [3 per cell]
O2 0.0763 0.1703 0.1060 [3 per cell]
O3 0.0871 0.6430 0.5394 [3 per cell]
O4 0.1108 0.4201 0.0666 [3 per cell]
O5 0.1108 0.4492 0.5422 [3 per cell]
O6 0.1151 0.6707 0.0638 [3 per cell]
O7 0.1533 0.3100 0.3657 [3 per cell]
O8 0.1614 0.8147 0.8484 [3 per cell]
O9 0.1666 0.0919 0.8837 [3 per cell]
O10 0.2464 0.0133 0.6776 [3 per cell]
O11 0.2559 0.2250 0.6321 [3 per cell]
O12 0.2762 0.7194 0.3033 [3 per cell]
O13 0.2789 0.2462 0.2262 [3 per cell]
O14 0.3873 0.0870 0.3798 [3 per cell]
O15 0.4111 0.1081 0.9752 [3 per cell]
O16 0.4208 0.3198 0.9306 [3 per cell]
O17 0.5000 0.2412 0.7229 [3 per cell]
O18 0.5072 0.4921 0.2455 [3 per cell]
O19 0.5723 0.4101 0.5005 [3 per cell]



First-principles (GGA+U) data for Na5Ni2AsC4O16 after structural relaxation, as listed in the Materials Project.

Values from the calculation:
VASP energy   -6.149 eV per atom
Energy above the lowest structure with this stoichiometry   5.1 meV/atom

Cell lengths 14.041, 14.061, 14.108 Å; angles 90.00, 90.00, 90.00 degrees
Space group Fdd2 (No. 43)
Asymmetric unit:
Na1 0.000 0.000 0.000 [8 per cell]
Na2 0.006 0.285 0.713 [16 per cell]
Na3 0.035 0.244 0.463 [16 per cell]
Ni1 0.124 0.376 0.090 [16 per cell]
As1 0.000 0.000 0.216 [8 per cell]
C1 0.089 0.089 0.627 [16 per cell]
C2 0.090 0.410 0.305 [16 per cell]
O1 0.021 0.104 0.567 [16 per cell]
O2 0.021 0.396 0.363 [16 per cell]
O3 0.070 0.430 0.644 [16 per cell]
O4 0.074 0.073 0.281 [16 per cell]
O5 0.099 0.145 0.698 [16 per cell]
O6 0.101 0.229 0.069 [16 per cell]
O7 0.101 0.271 0.862 [16 per cell]
O8 0.103 0.352 0.234 [16 per cell]



| no. | energy of formation from the pure elements (meV/atom) | size of the total moment (μB per formula unit) | E (MP2020) (Ha/atom) |
| --- | --- | --- | --- |
| 1 | -1848 | 7.00 | -0.2644 |
| 2 | -1882 | 126.18 | -0.2901 |
| 3 | -1762 | 6.00 | -0.2471 |